Entry 1:
Computed, not measured: TlGaF6 after structural relaxation at the meta-GGA r2SCAN level of DFT.

```
TlGaF6
1.0
2.5484 1.4713 4.7298
-2.5484 1.4713 4.7298
0.0000 -2.9426 4.7298
Tl Ga F
1 1 6
direct
0.0000 0.0000 0.0000
0.5000 0.5000 0.5000
0.1206 0.4195 0.7275
0.2725 0.8794 0.5804
0.4196 0.7275 0.1206
0.5805 0.2725 0.8794
0.7275 0.1206 0.4195
0.8794 0.5804 0.2725
```

Properties
final energy	-12.824	eV/atom
ΔH_f (0 K)	-19.21	eV/f.u.
symmetry	No. 148


Entry 2:
Computed, not measured: CoPW after structural relaxation at the meta-GGA r2SCAN level of DFT.

```
CoPW
1.0
5.7563 0.0000 0.0000
0.0000 3.7310 0.0000
0.0000 0.0000 6.6860
Co P W
4 4 4
direct
0.1399 0.2500 0.0692
0.3601 0.7500 0.5692
0.6399 0.2500 0.4308
0.8601 0.7500 0.9308
0.2318 0.7500 0.8791
0.2682 0.2500 0.3791
0.7318 0.7500 0.6209
0.7682 0.2500 0.1209
0.0334 0.2500 0.6683
0.4666 0.7500 0.1683
0.5334 0.2500 0.8317
0.9666 0.7500 0.3317
```

Properties
final energy	-24.888	eV/atom
ΔH_f (0 K)	-1.06	eV/f.u.
symmetry	No. 62


Entry 3:
Computed, not measured: ZrHg after structural relaxation at the meta-GGA r2SCAN level of DFT.

```
ZrHg
1.0
4.2817 0.0000 0.0000
0.0000 4.4520 0.0000
0.0000 0.0000 4.4520
Zr Hg
2 2
direct
0.5000 0.5000 0.0000
0.5000 0.0000 0.5000
0.0000 0.5000 0.5000
0.0000 0.0000 0.0000
```

Properties
final energy	-36.293	eV/atom
ΔH_f (0 K)	-0.47	eV/f.u.


Entry 4:
Computed, not measured: TmGa6 after structural relaxation at the meta-GGA r2SCAN level of DFT.

```
TmGa6
1.0
5.8850 0.0000 0.0000
0.0000 5.8850 0.0000
0.0000 0.0000 7.4546
Tm Ga
2 12
direct
0.2500 0.7500 0.0000
0.7500 0.2500 0.0000
0.0728 0.5728 0.3516
0.0728 0.9272 0.6484
0.2500 0.2500 0.1614
0.2500 0.2500 0.8386
0.4272 0.5728 0.6484
0.4272 0.9272 0.3516
0.5728 0.0728 0.6484
0.5728 0.4272 0.3516
0.7500 0.7500 0.1614
0.7500 0.7500 0.8386
0.9272 0.0728 0.3516
0.9272 0.4272 0.6484
```

Properties
final energy	-15.142	eV/atom
ΔH_f (0 K)	-2.22	eV/f.u.
symmetry	No. 125


The highest final energy belongs to which entry? TlGaF6